The following is a DFT calculation (meta-GGA r2SCAN) of a relaxed Ba3Ta5O15 crystal.

a = 12.6643 Å, b = 12.6643 Å, c = 3.9910 Å
α = 90.00°, β = 90.00°, γ = 90.00°
Closest atoms and distances in Å follow each position.
Atoms (fractional coordinates):
Ba (0.0000, 0.0000, 0.0000)  12 O 2.81-2.82
Ba (0.5000, 0.5000, 0.0000)  12 O 2.81-2.82
Ba (0.6693, 0.1693, 0.0000)  7 O 2.83-3.03
Ba (0.1693, 0.3307, 0.0000)  7 O 2.83-3.03
Ba (0.8307, 0.6693, 0.0000)  7 O 2.83-3.03
Ba (0.3307, 0.8307, 0.0000)  7 O 2.83-3.03
Ta (0.0765, 0.7867, 0.5000)  6 O 1.96-2.05
Ta (0.2133, 0.0765, 0.5000)  6 O 1.96-2.05
Ta (0.0000, 0.5000, 0.5000)  6 O 1.98-2.00
Ta (0.5000, 0.0000, 0.5000)  6 O 1.98-2.00
Ta (0.9235, 0.2133, 0.5000)  6 O 1.96-2.05
Ta (0.7867, 0.9235, 0.5000)  6 O 1.96-2.05
Ta (0.2867, 0.5765, 0.5000)  6 O 1.96-2.05
Ta (0.7133, 0.4235, 0.5000)  6 O 1.96-2.05
Ta (0.5765, 0.7133, 0.5000)  6 O 1.96-2.05
Ta (0.4235, 0.2867, 0.5000)  6 O 1.96-2.05
O (0.3590, 0.4316, 0.5000)  2 Ta 2.01-2.05
O (0.6410, 0.5684, 0.5000)  2 Ta 2.01-2.05
O (0.5684, 0.3590, 0.5000)  2 Ta 2.01-2.05
O (0.4316, 0.6410, 0.5000)  2 Ta 2.01-2.05
O (0.9316, 0.8590, 0.5000)  2 Ta 2.01-2.05
O (0.8590, 0.0684, 0.5000)  2 Ta 2.01-2.05
O (0.1410, 0.9316, 0.5000)  2 Ta 2.01-2.05
O (0.0684, 0.1410, 0.5000)  2 Ta 2.01-2.05
O (0.1562, 0.4936, 0.5000)  2 Ta 1.96-1.98
O (0.8438, 0.5064, 0.5000)  2 Ta 1.96-1.98
O (0.5064, 0.1562, 0.5000)  2 Ta 1.96-1.98
O (0.4936, 0.8438, 0.5000)  2 Ta 1.96-1.98
O (0.9936, 0.6562, 0.5000)  2 Ta 1.96-1.98
O (0.6562, 0.0064, 0.5000)  2 Ta 1.96-1.98
O (0.3438, 0.9936, 0.5000)  2 Ta 1.96-1.98
O (0.0064, 0.3438, 0.5000)  2 Ta 1.96-1.98
O (0.5000, 0.0000, 0.0000)  2 Ta 2.00
O (0.0000, 0.5000, 0.0000)  2 Ta 2.00
O (0.7817, 0.2817, 0.5000)  2 Ta 1.99
O (0.2817, 0.2183, 0.5000)  2 Ta 1.99
O (0.7183, 0.7817, 0.5000)  2 Ta 1.99
O (0.2183, 0.7183, 0.5000)  2 Ta 1.99
O (0.2085, 0.0780, 0.0000)  2 Ta 2.00
O (0.0780, 0.7915, 0.0000)  2 Ta 2.00
O (0.9220, 0.2085, 0.0000)  2 Ta 2.00
O (0.7915, 0.9220, 0.0000)  2 Ta 2.00
O (0.2915, 0.5780, 0.0000)  2 Ta 2.00
O (0.7085, 0.4220, 0.0000)  2 Ta 2.00
O (0.5780, 0.7085, 0.0000)  2 Ta 2.00
O (0.4220, 0.2915, 0.0000)  2 Ta 2.00

Results
Space group: P4/mbm
Energy of formation from the pure elements, eV per atom: -3.24
Total magnetization, μB/cell: 0.00